The following is a DFT calculation (PBE-GGA) of a geometry-optimized Mg14SiC structure.

Cell: 6.206 6.206 9.826 Å, 90.00 90.00 120.00°
Sites, in units of the cell vectors:
Mg1 0.666 0.331 0.125
Mg2 0.669 0.831 0.625
Mg3 0.327 0.173 0.863
Mg4 0.169 0.834 0.125
Mg5 0.327 0.654 0.863
Mg6 0.833 0.667 0.376
Mg7 0.327 0.173 0.387
Mg8 0.846 0.173 0.863
Mg9 0.669 0.338 0.625
Mg10 0.833 0.667 0.874
Mg11 0.327 0.654 0.387
Mg12 0.162 0.831 0.625
Mg13 0.666 0.834 0.125
Mg14 0.846 0.173 0.387
C1 0.167 0.333 0.625
Si1 0.167 0.333 0.125

Results
SG: P-6m2, No. 187
formation energy: 0.294 eV/atom



The following is a DFT calculation (PBE-GGA) of a geometry-optimized Mg14SiC structure.

Cell: 6.375 7.790 8.474 Å, 90.00 90.00 127.66°
Sites, in units of the cell vectors:
Mg1 0.690 0.595 0.920
Mg2 0.690 0.595 0.330
Mg3 0.278 0.389 0.625
Mg4 0.252 0.687 0.941
Mg5 0.321 0.911 0.625
Mg6 0.786 0.367 0.125
Mg7 0.252 0.687 0.309
Mg8 0.807 0.153 0.851
Mg9 0.802 0.859 0.625
Mg10 0.807 0.153 0.399
Mg11 0.786 0.919 0.125
Mg12 0.802 0.443 0.625
Mg13 0.252 0.065 0.309
Mg14 0.252 0.065 0.941
Si1 0.221 0.361 0.125
C1 0.001 0.751 0.125

Results
SG: Amm2, No. 38
formation energy: 0.159 eV/atom



The following is a DFT calculation (PBE-GGA) of a geometry-optimized Sm6Mg23C structure.

Cell: 10.100 10.100 10.100 Å, 60.00 60.00 60.00°
Sites, in units of the cell vectors:
Mg1 0.830 0.830 0.510
Mg2 0.500 0.000 0.000
Mg3 0.830 0.510 0.830
Mg4 0.170 0.170 0.490
Mg5 0.000 0.500 0.500
Mg6 0.490 0.170 0.170
Mg7 0.380 0.380 0.380
Mg8 0.170 0.490 0.170
Mg9 0.620 0.620 0.620
Mg10 0.620 0.139 0.620
Mg11 0.139 0.620 0.620
Mg12 0.620 0.620 0.139
Mg13 0.500 0.000 0.500
Mg14 0.830 0.830 0.830
Mg15 0.510 0.830 0.830
Mg16 0.170 0.170 0.170
Mg17 0.380 0.380 0.861
Mg18 0.861 0.380 0.380
Mg19 0.000 0.000 0.500
Mg20 0.000 0.500 0.000
Mg21 0.500 0.500 0.000
Mg22 0.380 0.861 0.380
Mg23 0.500 0.500 0.500
C1 0.000 0.000 0.000
Sm1 0.183 0.817 0.183
Sm2 0.817 0.183 0.817
Sm3 0.183 0.183 0.817
Sm4 0.817 0.183 0.183
Sm5 0.817 0.817 0.183
Sm6 0.183 0.817 0.817

Results
SG: Fm-3m, No. 225
formation energy: -0.092 eV/atom



> formation energy of number 1 (Mg14SiC)?

0.294 eV/atom



> Which formula does entry 2 have?

Mg14SiC



> Which of these has the lowest formation energy?

Sm6Mg23C